[1]
Compound: EuCu2SnS4
Source: Materials Project
Functional: PBE-GGA
Structure: relaxed

Summary:
Energy relative to the elements ... -1.01 eV/atom
Total DFT energy (no corrections) ... -90.19 eV per cell
Energy with MP2020 corrections ... -5.89 eV/atom
Space group ... Ama2 (40)

Structure (POSCAR):
```
EuCu2SnS4
1.0
10.507 0.000 0.000
0.000 5.168 3.225
0.000 -5.168 3.225
Eu Cu Sn S
2 4 2 8
Direct
0.000 0.000 0.000
0.500 0.000 0.000
0.126 0.803 0.375
0.374 0.803 0.375
0.626 0.375 0.803
0.874 0.375 0.803
0.250 0.427 0.731
0.750 0.731 0.427
0.068 0.488 0.006
0.250 0.108 0.309
0.250 0.816 0.699
0.432 0.488 0.006
0.568 0.006 0.488
0.750 0.309 0.108
0.750 0.699 0.816
0.932 0.006 0.488
```

---

[2]
Compound: ZnHg3
Source: Materials Project
Functional: PBE-GGA
Structure: relaxed

Summary:
Energy relative to the elements ... 0.11 eV/atom
Energy relative to the lowest polymorph listed for this composition ... 0.000 eV per atom
Total DFT energy (no corrections) ... -1.71 eV per cell
Space group ... I4/mmm (139)

Structure (POSCAR):
```
ZnHg3
1.0
-2.193 2.193 5.053
2.193 -2.193 5.053
2.193 2.193 -5.053
Zn Hg
1 3
Direct
0.000 0.000 0.000
0.250 0.750 0.500
0.500 0.500 0.000
0.750 0.250 0.500
```

---

[3]
Compound: Na2Nb4Si7Ge4S5O48
Source: Materials Project
Functional: PBE-GGA
Structure: relaxed

Summary:
Energy relative to the elements ... -2.49 eV/atom
Total DFT energy (no corrections) ... -1497.46 eV per cell
Energy with MP2020 corrections ... -7.60 eV/atom
Space group ... P1 (1)

Structure (POSCAR):
```
Na2Nb4Si7Ge4S5O48
1.0
8.674 0.000 0.000
-0.063 15.151 0.000
-0.233 -0.024 22.403
Na Nb Si Ge S O
6 12 21 12 15 144
Direct
0.000 0.000 0.000
0.003 0.330 0.336
0.486 0.829 0.840
0.489 0.498 0.499
0.501 0.496 0.002
0.991 0.999 0.499
0.003 0.995 0.149
0.009 0.658 0.814
0.478 0.159 0.313
0.485 0.495 0.650
0.501 0.821 0.476
0.507 0.151 0.815
0.509 0.489 0.145
0.510 0.824 0.197
0.977 0.325 0.697
0.979 0.322 0.978
0.982 0.651 0.313
0.982 0.994 0.649
0.136 0.855 0.757
0.145 0.510 0.423
0.148 0.189 0.089
0.207 0.157 0.425
0.213 0.489 0.759
0.275 0.988 0.259
0.283 0.656 0.926
0.339 0.688 0.588
0.343 0.355 0.255
0.348 0.014 0.926
0.623 0.354 0.760
0.648 0.687 0.082
0.649 0.019 0.420
0.707 0.982 0.756
0.710 0.316 0.089
0.715 0.649 0.424
0.777 0.481 0.257
0.779 0.148 0.924
0.841 0.187 0.582
0.842 0.518 0.920
0.866 0.854 0.259
0.006 0.319 0.479
0.011 0.648 0.521
0.472 0.827 0.696
0.483 0.821 0.981
0.491 0.158 0.027
0.491 0.490 0.863
0.492 0.489 0.359
0.508 0.151 0.520
0.983 0.648 0.022
0.994 0.987 0.862
0.994 0.996 0.360
0.997 0.325 0.191
0.130 0.804 0.423
0.132 0.474 0.088
0.133 0.135 0.756
0.206 0.822 0.085
0.282 0.322 0.586
0.354 0.635 0.256
0.355 0.304 0.922
0.356 0.973 0.588
0.632 0.641 0.755
0.632 0.970 0.086
0.640 0.305 0.423
0.782 0.820 0.588
0.849 0.804 0.923
0.855 0.139 0.256
0.855 0.472 0.585
0.051 0.761 0.765
0.055 0.414 0.433
0.059 0.089 0.096
0.060 0.563 0.082
0.061 0.099 0.809
0.063 0.893 0.419
0.064 0.558 0.365
0.064 0.762 0.477
0.065 0.225 0.746
0.066 0.233 0.030
0.066 0.435 0.143
0.068 0.902 0.696
0.099 0.245 0.429
0.103 0.068 0.416
0.104 0.904 0.091
0.105 0.576 0.763
0.108 0.083 0.701
0.109 0.403 0.742
0.109 0.745 0.078
0.112 0.419 0.035
0.112 0.750 0.370
0.113 0.246 0.148
0.114 0.918 0.815
0.128 0.573 0.482
0.154 0.678 0.578
0.159 0.339 0.246
0.161 0.001 0.915
0.168 0.644 0.984
0.169 0.976 0.317
0.173 0.009 0.198
0.178 0.676 0.865
0.185 0.982 0.594
0.187 0.344 0.532
0.188 0.314 0.639
0.188 0.316 0.929
0.188 0.647 0.264
0.299 0.844 0.032
0.300 0.146 0.762
0.301 0.814 0.140
0.302 0.487 0.094
0.302 0.816 0.430
0.312 0.175 0.366
0.315 0.509 0.698
0.320 0.476 0.816
0.321 0.143 0.484
0.323 0.840 0.750
0.328 0.172 0.078
0.331 0.500 0.414
0.369 0.416 0.315
0.375 0.078 0.983
0.375 0.582 0.202
0.378 0.245 0.579
0.378 0.251 0.868
0.379 0.748 0.648
0.379 0.903 0.243
0.380 0.916 0.536
0.382 0.076 0.263
0.384 0.405 0.591
0.386 0.568 0.916
0.390 0.746 0.929
0.419 0.402 0.196
0.421 0.590 0.595
0.421 0.734 0.531
0.423 0.724 0.247
0.424 0.060 0.866
0.424 0.933 0.644
0.426 0.061 0.582
0.427 0.265 0.976
0.427 0.394 0.918
0.428 0.599 0.310
0.431 0.261 0.266
0.433 0.916 0.934
0.549 0.257 0.766
0.560 0.736 0.027
0.561 0.602 0.808
0.562 0.056 0.082
0.563 0.400 0.698
0.563 0.729 0.747
0.564 0.590 0.092
0.566 0.922 0.433
0.569 0.066 0.363
0.569 0.264 0.477
0.569 0.393 0.419
0.569 0.928 0.141
0.598 0.069 0.762
0.599 0.406 0.094
0.602 0.565 0.414
0.602 0.895 0.742
0.603 0.231 0.076
0.607 0.738 0.432
0.608 0.418 0.816
0.608 0.585 0.700
0.610 0.746 0.143
0.610 0.913 0.033
0.617 0.251 0.370
0.627 0.078 0.481
0.654 0.178 0.575
0.656 0.505 0.914
0.670 0.136 0.981
0.670 0.472 0.315
0.677 0.507 0.197
0.678 0.171 0.863
0.678 0.841 0.248
0.679 0.816 0.928
0.685 0.482 0.593
0.686 0.841 0.534
0.688 0.147 0.263
0.688 0.813 0.642
0.800 0.650 0.761
0.803 0.979 0.093
0.810 0.006 0.696
0.811 0.316 0.430
0.811 0.342 0.747
0.812 0.342 0.030
0.815 0.672 0.365
0.817 0.970 0.814
0.818 0.309 0.148
0.825 0.640 0.484
0.833 0.005 0.414
0.834 0.679 0.075
0.863 0.578 0.980
0.873 0.752 0.869
0.878 0.083 0.202
0.878 0.416 0.533
0.879 0.245 0.643
0.879 0.745 0.580
0.880 0.918 0.317
0.883 0.904 0.592
0.885 0.571 0.263
0.886 0.237 0.929
0.887 0.397 0.247
0.889 0.063 0.913
0.917 0.568 0.863
0.920 0.765 0.977
0.921 0.431 0.641
0.922 0.088 0.592
0.922 0.894 0.918
0.926 0.099 0.311
0.926 0.900 0.198
0.927 0.226 0.250
0.927 0.560 0.581
0.929 0.234 0.527
0.930 0.424 0.929
0.939 0.757 0.267
```

---

[4]
Compound: UH8O8
Source: Materials Project
Functional: PBE-GGA
Structure: relaxed

Summary:
Energy relative to the elements ... -1.75 eV/atom
Total DFT energy (no corrections) ... -204.67 eV per cell
Energy with MP2020 corrections ... -6.34 eV/atom
Space group ... C2/c (15)

Structure (POSCAR):
```
UH8O8
1.0
7.087 -3.419 0.000
7.087 3.419 0.000
-4.642 0.000 7.223
U H O
2 16 16
Direct
0.000 0.000 0.000
0.000 0.000 0.500
0.227 0.279 0.821
0.227 0.539 0.101
0.253 0.253 0.135
0.253 0.253 0.635
0.279 0.227 0.321
0.327 0.465 0.571
0.461 0.773 0.399
0.465 0.327 0.071
0.535 0.673 0.929
0.539 0.227 0.601
0.673 0.535 0.429
0.721 0.773 0.679
0.747 0.747 0.365
0.747 0.747 0.865
0.773 0.461 0.899
0.773 0.721 0.179
0.052 0.826 0.194
0.174 0.948 0.306
0.199 0.209 0.684
0.209 0.199 0.184
0.250 0.745 0.567
0.255 0.750 0.933
0.308 0.372 0.050
0.372 0.308 0.550
0.628 0.692 0.450
0.692 0.628 0.950
0.745 0.250 0.067
0.750 0.255 0.433
0.791 0.801 0.816
0.801 0.791 0.316
0.826 0.052 0.694
0.948 0.174 0.806
```